[1]
# Na42Ca16Ta8Si21S15O144

A relaxed structure of Na42Ca16Ta8Si21S15O144 (PBE, the Materials Project database).

Geometry as POSCAR:
```
Na42Ca16Ta8Si21S15O144
1.0
-6.340 -15.590 -8.343
8.196 -0.127 4.660
-10.935 -5.608 19.128
Na Ca Ta Si S O
42 16 8 21 15 144
direct
0.328 0.041 0.245 Na
0.828 0.016 0.247 Na
0.984 0.634 0.252 Na
0.328 0.638 0.742 Na
0.829 0.617 0.739 Na
0.484 0.338 0.749 Na
0.164 0.355 0.584 Na
0.666 0.354 0.594 Na
0.011 0.653 0.589 Na
0.504 0.682 0.566 Na
0.317 0.960 0.579 Na
0.835 0.975 0.569 Na
0.165 0.977 0.091 Na
0.663 0.957 0.088 Na
0.331 0.685 0.066 Na
0.832 0.703 0.072 Na
0.005 0.324 0.065 Na
0.497 0.356 0.088 Na
0.470 0.669 0.912 Na
0.971 0.657 0.900 Na
0.352 0.015 0.915 Na
0.862 0.042 0.923 Na
0.165 0.320 0.915 Na
0.672 0.300 0.901 Na
0.468 0.284 0.404 Na
0.971 0.271 0.418 Na
0.173 0.048 0.417 Na
0.665 0.006 0.421 Na
0.360 0.680 0.429 Na
0.852 0.690 0.421 Na
0.989 0.009 0.499 Na
0.485 0.966 0.494 Na
0.989 0.008 0.990 Na
0.481 0.959 0.995 Na
0.333 0.333 0.825 Na
0.843 0.357 0.826 Na
0.341 0.327 0.331 Na
0.833 0.332 0.330 Na
0.175 0.672 0.163 Na
0.662 0.668 0.166 Na
0.163 0.675 0.658 Na
0.675 0.677 0.661 Na
0.996 0.999 0.345 Ca
0.499 0.998 0.350 Ca
0.998 0.999 0.847 Ca
0.497 0.993 0.844 Ca
0.329 0.325 0.681 Ca
0.837 0.336 0.684 Ca
0.336 0.336 0.185 Ca
0.832 0.332 0.183 Ca
0.341 0.351 0.987 Ca
0.841 0.333 0.978 Ca
0.332 0.337 0.484 Ca
0.841 0.332 0.490 Ca
0.168 0.664 0.012 Ca
0.671 0.674 0.019 Ca
0.170 0.667 0.520 Ca
0.668 0.672 0.514 Ca
0.002 0.986 0.647 Ta
0.496 0.988 0.662 Ta
0.997 0.007 0.162 Ta
0.497 0.007 0.151 Ta
0.167 0.677 0.310 Ta
0.666 0.667 0.314 Ta
0.166 0.663 0.813 Ta
0.668 0.659 0.810 Ta
0.149 0.000 0.255 Si
0.843 0.696 0.257 Si
0.005 0.312 0.256 Si
0.507 0.310 0.255 Si
0.650 0.298 0.755 Si
0.005 0.704 0.756 Si
0.504 0.697 0.757 Si
0.344 0.993 0.758 Si
0.986 0.320 0.584 Si
0.179 0.029 0.578 Si
0.342 0.654 0.589 Si
0.831 0.638 0.584 Si
0.487 0.650 0.084 Si
0.332 0.024 0.085 Si
0.840 0.027 0.088 Si
0.316 0.663 0.915 Si
0.814 0.664 0.918 Si
0.019 0.372 0.916 Si
0.316 0.964 0.417 Si
0.816 0.970 0.416 Si
0.517 0.662 0.417 Si
0.647 0.987 0.252 S
0.347 0.713 0.250 S
0.147 0.308 0.752 S
0.844 0.984 0.751 S
0.487 0.320 0.587 S
0.674 0.031 0.586 S
0.986 0.653 0.086 S
0.174 0.318 0.086 S
0.674 0.316 0.084 S
0.523 0.381 0.914 S
0.170 0.962 0.914 S
0.667 0.956 0.914 S
0.167 0.383 0.412 S
0.671 0.380 0.414 S
0.021 0.661 0.413 S
0.106 0.996 0.315 O
0.610 0.001 0.306 O
0.390 0.777 0.304 O
0.894 0.760 0.317 O
0.498 0.207 0.313 O
0.984 0.205 0.314 O
0.111 0.221 0.807 O
0.607 0.217 0.815 O
0.487 0.765 0.815 O
0.997 0.785 0.815 O
0.393 0.019 0.818 O
0.887 0.003 0.807 O
0.406 0.970 0.704 O
0.887 0.958 0.701 O
0.096 0.217 0.701 O
0.584 0.197 0.698 O
0.012 0.835 0.700 O
0.513 0.832 0.701 O
0.398 0.830 0.200 O
0.906 0.845 0.203 O
0.014 0.197 0.200 O
0.515 0.191 0.198 O
0.083 0.972 0.197 O
0.595 0.977 0.199 O
0.449 0.343 0.639 O
0.935 0.363 0.630 O
0.246 0.122 0.627 O
0.729 0.116 0.635 O
0.336 0.552 0.647 O
0.814 0.518 0.639 O
0.436 0.513 0.131 O
0.946 0.553 0.138 O
0.316 0.110 0.139 O
0.827 0.114 0.145 O
0.229 0.343 0.135 O
0.728 0.345 0.133 O
0.209 0.298 0.030 O
0.706 0.287 0.029 O
0.436 0.609 0.021 O
0.936 0.577 0.033 O
0.358 0.134 0.025 O
0.860 0.137 0.028 O
0.203 0.134 0.517 O
0.708 0.118 0.529 O
0.365 0.587 0.529 O
0.854 0.578 0.523 O
0.438 0.297 0.533 O
0.935 0.262 0.521 O
0.274 0.670 0.976 O
0.775 0.675 0.979 O
0.060 0.448 0.980 O
0.566 0.464 0.968 O
0.159 0.875 0.971 O
0.660 0.872 0.970 O
0.274 0.863 0.475 O
0.773 0.877 0.476 O
0.160 0.451 0.468 O
0.660 0.447 0.469 O
0.065 0.661 0.465 O
0.561 0.673 0.479 O
0.070 0.657 0.358 O
0.583 0.660 0.363 O
0.252 0.837 0.358 O
0.755 0.844 0.359 O
0.166 0.489 0.362 O
0.674 0.490 0.363 O
0.083 0.503 0.863 O
0.572 0.486 0.861 O
0.174 0.858 0.865 O
0.668 0.851 0.864 O
0.253 0.664 0.860 O
0.750 0.664 0.862 O
0.015 0.809 0.411 O
0.514 0.831 0.412 O
0.407 0.986 0.414 O
0.907 0.986 0.416 O
0.097 0.214 0.407 O
0.601 0.213 0.407 O
0.013 0.194 0.912 O
0.516 0.219 0.912 O
0.101 0.991 0.907 O
0.597 0.983 0.910 O
0.407 0.827 0.915 O
0.905 0.827 0.914 O
0.495 0.168 0.594 O
0.989 0.151 0.606 O
0.088 0.023 0.597 O
0.592 0.025 0.593 O
0.430 0.849 0.597 O
0.919 0.825 0.599 O
0.498 0.836 0.104 O
0.993 0.820 0.092 O
0.420 0.009 0.099 O
0.928 0.013 0.097 O
0.092 0.160 0.093 O
0.591 0.155 0.094 O
0.338 0.152 0.744 O
0.825 0.113 0.742 O
0.233 0.343 0.747 O
0.742 0.340 0.748 O
0.431 0.513 0.744 O
0.925 0.528 0.747 O
0.330 0.548 0.238 O
0.834 0.525 0.238 O
0.426 0.322 0.245 O
0.932 0.351 0.243 O
0.241 0.143 0.247 O
0.732 0.125 0.246 O
0.316 0.489 0.908 O
0.814 0.491 0.910 O
0.441 0.369 0.909 O
0.930 0.363 0.907 O
0.249 0.120 0.913 O
0.745 0.115 0.912 O
0.315 0.135 0.408 O
0.816 0.142 0.407 O
0.247 0.387 0.408 O
0.750 0.381 0.412 O
0.429 0.495 0.409 O
0.940 0.510 0.407 O
0.157 0.456 0.084 O
0.653 0.447 0.079 O
0.071 0.679 0.082 O
0.580 0.678 0.082 O
0.258 0.833 0.083 O
0.762 0.841 0.086 O
0.150 0.836 0.578 O
0.657 0.859 0.584 O
0.264 0.680 0.585 O
0.757 0.680 0.584 O
0.080 0.468 0.581 O
0.573 0.463 0.582 O
0.151 0.815 0.256 O
0.651 0.830 0.252 O
0.267 0.717 0.249 O
0.758 0.707 0.255 O
0.094 0.490 0.258 O
0.594 0.492 0.257 O
0.151 0.475 0.753 O
0.652 0.488 0.757 O
0.092 0.694 0.760 O
0.593 0.697 0.760 O
0.257 0.812 0.756 O
0.761 0.818 0.754 O
```

[2]
# Na6Ca8Ta16Si15S21O144

A relaxed structure of Na6Ca8Ta16Si15S21O144 (PBE, the Materials Project database).

Geometry as POSCAR:
```
Na6Ca8Ta16Si15S21O144
1.0
17.899 -0.006 0.048
-4.478 7.760 0.003
0.061 0.045 23.310
Na Ca Ta Si S O
6 8 16 15 21 144
direct
0.997 0.995 0.499 Na
0.498 0.001 0.002 Na
0.331 0.330 0.842 Na
0.837 0.330 0.840 Na
0.338 0.344 0.338 Na
0.833 0.348 0.338 Na
0.998 0.994 0.348 Ca
0.502 0.995 0.851 Ca
0.997 0.993 0.652 Ca
0.497 0.000 0.153 Ca
0.327 0.325 0.978 Ca
0.841 0.332 0.978 Ca
0.342 0.353 0.477 Ca
0.828 0.331 0.477 Ca
0.496 0.997 0.356 Ta
0.994 0.991 0.858 Ta
0.505 0.996 0.650 Ta
0.996 0.001 0.153 Ta
0.331 0.340 0.683 Ta
0.839 0.343 0.693 Ta
0.336 0.336 0.192 Ta
0.832 0.325 0.187 Ta
0.159 0.662 0.019 Ta
0.670 0.673 0.027 Ta
0.170 0.666 0.524 Ta
0.660 0.654 0.516 Ta
0.162 0.664 0.303 Ta
0.664 0.652 0.309 Ta
0.163 0.669 0.813 Ta
0.663 0.663 0.804 Ta
0.144 0.004 0.250 Si
0.356 0.711 0.251 Si
0.852 0.701 0.251 Si
0.995 0.285 0.252 Si
0.500 0.285 0.250 Si
0.645 0.288 0.750 Si
0.003 0.718 0.750 Si
0.494 0.702 0.751 Si
0.857 0.003 0.751 Si
0.336 0.635 0.583 Si
0.838 0.046 0.083 Si
0.023 0.375 0.914 Si
0.165 0.955 0.914 Si
0.665 0.373 0.412 Si
0.525 0.672 0.411 Si
0.648 0.002 0.253 S
0.150 0.295 0.752 S
0.352 0.001 0.747 S
0.480 0.331 0.585 S
0.981 0.340 0.581 S
0.189 0.040 0.580 S
0.688 0.037 0.586 S
0.830 0.623 0.582 S
0.480 0.623 0.081 S
0.980 0.630 0.085 S
0.330 0.035 0.081 S
0.186 0.336 0.086 S
0.688 0.335 0.080 S
0.307 0.673 0.918 S
0.805 0.670 0.915 S
0.530 0.391 0.917 S
0.664 0.939 0.918 S
0.306 0.940 0.414 S
0.809 0.944 0.418 S
0.163 0.387 0.417 S
0.030 0.670 0.418 S
0.122 0.062 0.308 O
0.606 0.036 0.302 O
0.420 0.804 0.307 O
0.908 0.747 0.308 O
0.482 0.158 0.306 O
0.968 0.182 0.310 O
0.109 0.181 0.802 O
0.618 0.180 0.807 O
0.464 0.752 0.807 O
0.984 0.808 0.806 O
0.403 0.048 0.800 O
0.920 0.035 0.807 O
0.398 0.978 0.698 O
0.883 0.957 0.693 O
0.102 0.239 0.700 O
0.581 0.193 0.695 O
0.028 0.818 0.692 O
0.511 0.831 0.696 O
0.382 0.807 0.193 O
0.904 0.831 0.197 O
0.013 0.195 0.196 O
0.525 0.234 0.192 O
0.083 0.971 0.194 O
0.601 0.967 0.200 O
0.433 0.356 0.635 O
0.940 0.366 0.634 O
0.243 0.121 0.633 O
0.744 0.126 0.636 O
0.316 0.495 0.639 O
0.821 0.516 0.634 O
0.440 0.515 0.133 O
0.937 0.512 0.135 O
0.319 0.122 0.133 O
0.816 0.138 0.138 O
0.246 0.367 0.135 O
0.741 0.365 0.132 O
0.220 0.303 0.033 O
0.729 0.321 0.028 O
0.430 0.545 0.030 O
0.931 0.566 0.033 O
0.341 0.138 0.030 O
0.854 0.147 0.026 O
0.231 0.142 0.530 O
0.718 0.137 0.534 O
0.358 0.563 0.529 O
0.841 0.542 0.531 O
0.430 0.293 0.533 O
0.929 0.315 0.531 O
0.258 0.677 0.971 O
0.765 0.690 0.969 O
0.081 0.475 0.974 O
0.582 0.486 0.969 O
0.155 0.830 0.972 O
0.663 0.838 0.971 O
0.265 0.839 0.469 O
0.757 0.837 0.472 O
0.163 0.489 0.472 O
0.654 0.476 0.472 O
0.083 0.677 0.470 O
0.581 0.686 0.473 O
0.076 0.664 0.365 O
0.587 0.676 0.361 O
0.252 0.848 0.365 O
0.761 0.858 0.366 O
0.167 0.489 0.367 O
0.676 0.502 0.359 O
0.085 0.497 0.861 O
0.576 0.490 0.864 O
0.177 0.848 0.860 O
0.666 0.843 0.866 O
0.260 0.664 0.865 O
0.752 0.656 0.864 O
0.025 0.827 0.421 O
0.520 0.850 0.404 O
0.391 0.948 0.410 O
0.891 0.951 0.422 O
0.084 0.223 0.422 O
0.574 0.192 0.404 O
0.020 0.191 0.903 O
0.522 0.221 0.918 O
0.075 0.956 0.903 O
0.584 0.945 0.921 O
0.390 0.832 0.920 O
0.891 0.833 0.909 O
0.494 0.185 0.601 O
0.001 0.202 0.588 O
0.103 0.013 0.587 O
0.598 0.014 0.598 O
0.411 0.825 0.605 O
0.903 0.798 0.586 O
0.500 0.800 0.087 O
0.997 0.804 0.097 O
0.403 0.006 0.085 O
0.915 0.008 0.100 O
0.100 0.188 0.098 O
0.600 0.191 0.085 O
0.336 0.147 0.732 O
0.843 0.176 0.740 O
0.238 0.305 0.744 O
0.742 0.324 0.728 O
0.416 0.504 0.730 O
0.915 0.520 0.741 O
0.343 0.511 0.241 O
0.832 0.510 0.227 O
0.413 0.308 0.240 O
0.917 0.326 0.232 O
0.242 0.160 0.228 O
0.736 0.166 0.246 O
0.314 0.517 0.920 O
0.816 0.520 0.918 O
0.446 0.385 0.918 O
0.934 0.368 0.910 O
0.249 0.139 0.912 O
0.741 0.108 0.918 O
0.316 0.110 0.419 O
0.814 0.111 0.422 O
0.241 0.375 0.419 O
0.748 0.355 0.413 O
0.434 0.500 0.410 O
0.947 0.511 0.420 O
0.178 0.495 0.077 O
0.681 0.500 0.071 O
0.068 0.640 0.077 O
0.569 0.631 0.073 O
0.248 0.860 0.074 O
0.748 0.849 0.072 O
0.182 0.864 0.573 O
0.676 0.862 0.579 O
0.247 0.648 0.573 O
0.748 0.633 0.575 O
0.068 0.508 0.573 O
0.566 0.492 0.579 O
0.158 0.835 0.260 O
0.666 0.863 0.266 O
0.260 0.673 0.272 O
0.760 0.695 0.259 O
0.081 0.479 0.260 O
0.575 0.482 0.267 O
0.171 0.475 0.765 O
0.659 0.483 0.760 O
0.080 0.672 0.767 O
0.580 0.683 0.760 O
0.268 0.843 0.755 O
0.760 0.848 0.773 O
```

| no. | formation energy (meV/atom) | spin magnetization (Bohr magnetons per cell) |
| --- | --- | --- |
| 1 | -2677.6 | 0.001 |
| 2 | -2681.8 | 0.000 |